# 1
A plane-wave DFT calculation with r2SCAN was carried out for ThAl3Ni2 after structural relaxation.

Values from the calculation:
- crystal system = hexagonal
- calculated total energy (eV/atom) = -20.2804
- total magnetization (μB per formula unit) = 0.0

```
ThAl3Ni2
1.0
5.2911 0.0000 0.0000
-2.6455 4.5822 0.0000
0.0000 0.0000 4.0419
Al Ni Th
3 2 1
direct
0.5000 0.5000 0.5000 Al
0.5000 0.0000 0.5000 Al
0.0000 0.5000 0.5000 Al
0.6667 0.3333 0.0000 Ni
0.3333 0.6667 0.0000 Ni
0.0000 0.0000 0.0000 Th
```

# 2
A plane-wave DFT calculation with r2SCAN was carried out for SiC after structural relaxation.

Values from the calculation:
- crystal system = trigonal
- calculated total energy (eV/atom) = -9.6664
- total magnetization (μB per formula unit) = 0.0

```
SiC
1.0
17.6333 -1.5385 0.0003
17.6333 1.5385 0.0003
17.4991 0.0000 2.6617
Si C
7 7
direct
0.4286 0.4286 0.4286 Si
0.5714 0.5714 0.5714 Si
0.2857 0.2857 0.2857 Si
0.1904 0.1904 0.1904 Si
0.7142 0.7142 0.7142 Si
0.8095 0.8095 0.8095 Si
0.0000 0.0000 0.0000 Si
0.2261 0.2261 0.2261 C
0.0357 0.0357 0.0357 C
0.3214 0.3214 0.3214 C
0.7499 0.7499 0.7499 C
0.8452 0.8452 0.8452 C
0.6072 0.6072 0.6072 C
0.4644 0.4644 0.4644 C
```

# 3
A plane-wave DFT calculation with r2SCAN was carried out for Na3Ge4Pt4 after structural relaxation.

Values from the calculation:
- crystal system = cubic
- calculated total energy (eV/atom) = -25.3005
- total magnetization (μB per formula unit) = 0.0

```
Na3Ge4Pt4
1.0
6.2343 0.0000 -2.2042
-3.1172 5.3991 -2.2042
0.0000 0.0000 6.6125
Pt Na Ge
4 3 4
direct
0.0000 0.0000 0.7227 Pt
0.2773 0.2773 0.2773 Pt
0.7227 0.0000 0.0000 Pt
0.0000 0.7227 0.0000 Pt
0.5000 0.5000 0.0000 Na
0.5000 0.0000 0.5000 Na
0.0000 0.5000 0.5000 Na
0.0000 0.0000 0.3674 Ge
0.6326 0.6326 0.6326 Ge
0.0000 0.3674 0.0000 Ge
0.3674 0.0000 0.0000 Ge
```

# 4
A plane-wave DFT calculation with r2SCAN was carried out for KTaO3 after structural relaxation.

Values from the calculation:
- crystal system = cubic
- calculated total energy (eV/atom) = -17.4363
- total magnetization (μB per formula unit) = 0.0

```
KTaO3
1.0
-2.1498 -0.9661 3.2255
3.3429 -1.0701 1.9076
0.4027 3.7257 1.3843
O Ta K
3 1 1
direct
0.0000 0.0000 0.5000 O
0.0000 0.5000 0.0000 O
0.5000 0.0000 0.0000 O
0.0000 0.0000 0.0000 Ta
0.5000 0.5000 0.5000 K
```

# 5
A plane-wave DFT calculation with r2SCAN was carried out for YbDy3 after structural relaxation.

Values from the calculation:
- crystal system = cubic
- calculated total energy (eV/atom) = -33.0751
- total magnetization (μB per formula unit) = 0.0

```
YbDy3
1.0
4.9918 0.0000 0.0000
0.0000 4.9918 0.0000
0.0000 0.0000 4.9918
Yb Dy
1 3
direct
0.0000 0.0000 0.0000 Yb
0.0000 0.5000 0.5000 Dy
0.5000 0.5000 0.0000 Dy
0.5000 0.0000 0.5000 Dy
```

# 6
A plane-wave DFT calculation with r2SCAN was carried out for Th3S after structural relaxation.

Values from the calculation:
- crystal system = tetragonal
- calculated total energy (eV/atom) = -57.3137
- total magnetization (μB per formula unit) = 0.0

```
Th3S
1.0
4.4854 -2.9666 2.6902
-1.8544 -3.8484 4.2317
-1.5341 1.0258 -5.7228
S Th
1 3
direct
0.0000 0.0000 0.0000 S
0.7500 0.2500 0.5000 Th
0.2500 0.7500 0.5000 Th
0.5000 0.5000 0.0000 Th
```